No. 1
Lu3In: optimized geometry, r²SCAN.

```
data_Lu3In
_cell_length_a 6.6823
_cell_length_b 6.6823
_cell_length_c 5.4817
_cell_angle_alpha 90.00
_cell_angle_beta 90.00
_cell_angle_gamma 120.00
_symmetry_space_group_name_H-M 'P 63/m m c'
_symmetry_Int_Tables_number 194
_symmetry_space_group_name_Hall '-P 6c 2c'
loop_
_atom_site_label
_atom_site_type_symbol
_atom_site_fract_x
_atom_site_fract_y
_atom_site_fract_z
Lu1 Lu 0.1694 0.3388 0.2500
In1 In 0.3333 0.6667 0.7500
```

## Properties
- energy (eV for the cell shown) = -276.247
- magnetic moment (μB per formula unit) = 1.18
- formation energy from the elements (eV per atom) = -0.326

---

No. 2
Dy: optimized geometry, r²SCAN.

```
data_Dy
_cell_length_a 3.6406
_cell_length_b 3.6406
_cell_length_c 5.5764
_cell_angle_alpha 90.00
_cell_angle_beta 90.00
_cell_angle_gamma 120.00
_symmetry_space_group_name_H-M 'P 63/m m c'
_symmetry_Int_Tables_number 194
_symmetry_space_group_name_Hall '-P 6c 2c'
loop_
_atom_site_label
_atom_site_type_symbol
_atom_site_fract_x
_atom_site_fract_y
_atom_site_fract_z
Dy1 Dy 0.3333 0.6667 0.2500
```

## Properties
- energy (eV for the cell shown) = -63.964
- magnetic moment (μB per formula unit) = 0.00
- energy above the most stable polymorph in this dataset (meV per atom) = 0
- formation energy from the elements (eV per atom) = 0.000

---

No. 3
BaTaF7: optimized geometry, r²SCAN.

```
data_BaTaF7
_cell_length_a 9.9132
_cell_length_b 9.9132
_cell_length_c 9.9132
_cell_angle_alpha 90.00
_cell_angle_beta 90.00
_cell_angle_gamma 90.00
_symmetry_space_group_name_H-M 'P a -3'
_symmetry_Int_Tables_number 205
_symmetry_space_group_name_Hall '-P 2ac 2ab 3'
loop_
_atom_site_label
_atom_site_type_symbol
_atom_site_fract_x
_atom_site_fract_y
_atom_site_fract_z
Ba1 Ba 0.0000 0.0000 0.0000
Ba2 Ba 0.0000 0.0000 0.5000
Ta1 Ta 0.2236 0.2236 0.2236
F1 F 0.0526 0.1186 0.2560
F2 F 0.1010 0.1336 0.7743
F3 F 0.1636 0.6636 0.8364
```

## Properties
- energy (eV for the cell shown) = -1048.618
- magnetic moment (μB per formula unit) = 0.00
- formation energy from the elements (eV per atom) = -3.789

---

No. 4
DyMg2Sc: optimized geometry, r²SCAN.

```
data_DyMg2Sc
_cell_length_a 7.3821
_cell_length_b 7.3821
_cell_length_c 7.3821
_cell_angle_alpha 90.00
_cell_angle_beta 90.00
_cell_angle_gamma 90.00
_symmetry_space_group_name_H-M 'F m -3 m'
_symmetry_Int_Tables_number 225
_symmetry_space_group_name_Hall '-F 4 2 3'
loop_
_atom_site_label
_atom_site_type_symbol
_atom_site_fract_x
_atom_site_fract_y
_atom_site_fract_z
Dy1 Dy 0.0000 0.0000 0.0000
Mg1 Mg 0.2500 0.2500 0.2500
Sc1 Sc 0.0000 0.0000 0.5000
```

## Properties
- energy (eV for the cell shown) = -207.829
- magnetic moment (μB per formula unit) = 0.00
- formation energy from the elements (eV per atom) = -0.060

---

No. 5
SiO2: optimized geometry, r²SCAN.

```
data_SiO2
_cell_length_a 8.9053
_cell_length_b 9.1295
_cell_length_c 9.1681
_cell_angle_alpha 111.55
_cell_angle_beta 98.15
_cell_angle_gamma 98.94
_symmetry_space_group_name_H-M 'P 1'
_symmetry_Int_Tables_number 1
_symmetry_space_group_name_Hall 'P 1'
loop_
_atom_site_label
_atom_site_type_symbol
_atom_site_fract_x
_atom_site_fract_y
_atom_site_fract_z
Si1 Si 0.0000 0.0000 0.0000
Si2 Si 0.0012 0.5091 0.4910
Si3 Si 0.2093 0.2844 0.3063
Si4 Si 0.2107 0.7994 0.7920
Si5 Si 0.4088 0.6058 0.9118
Si6 Si 0.4230 0.4071 0.1185
Si7 Si 0.4300 0.3070 0.6126
Si8 Si 0.4444 0.1065 0.8211
Si9 Si 0.7661 0.7150 0.0007
Si10 Si 0.7803 0.5169 0.2067
Si11 Si 0.7859 0.4140 0.7005
Si12 Si 0.8002 0.2148 0.9078
O1 O 0.0810 0.3760 0.3809
O2 O 0.0820 0.8842 0.8738
O3 O 0.1257 0.1131 0.1627
O4 O 0.1316 0.6638 0.6157
O5 O 0.2880 0.7175 0.9040
O6 O 0.3129 0.3971 0.2398
O7 O 0.3186 0.2492 0.4394
O8 O 0.3430 0.9283 0.7727
O9 O 0.3640 0.5149 0.0262
O10 O 0.3944 0.1695 0.6822
O11 O 0.3982 0.4742 0.7329
O12 O 0.4148 0.2271 0.9893
O13 O 0.5836 0.7169 0.9839
O14 O 0.5997 0.4905 0.2189
O15 O 0.6096 0.3351 0.5966
O16 O 0.6264 0.1010 0.8402
O17 O 0.7939 0.5915 0.8334
O18 O 0.8106 0.3504 0.0840
O19 O 0.8214 0.6584 0.1433
O20 O 0.8402 0.3008 0.7883
O21 O 0.8647 0.8933 0.0426
O22 O 0.8888 0.5681 0.3805
O23 O 0.9007 0.4267 0.5846
O24 O 0.9251 0.1085 0.9183
```

## Properties
- energy (eV for the cell shown) = -357.240
- magnetic moment (μB per formula unit) = 0.00
- formation energy from the elements (eV per atom) = -3.017

---

No. 6
LaSi2Ru: optimized geometry, r²SCAN.

```
data_LaSi2Ru
_cell_length_a 4.5388
_cell_length_b 4.1230
_cell_length_c 8.3866
_cell_angle_alpha 90.00
_cell_angle_beta 102.75
_cell_angle_gamma 90.00
_symmetry_space_group_name_H-M 'P 1 21/m 1'
_symmetry_Int_Tables_number 11
_symmetry_space_group_name_Hall '-P 2yb'
loop_
_atom_site_label
_atom_site_type_symbol
_atom_site_fract_x
_atom_site_fract_y
_atom_site_fract_z
La1 La 0.0930 0.2500 0.2017
Si1 Si 0.1708 0.7500 0.4942
Si2 Si 0.4613 0.2500 0.9079
Ru1 Ru 0.3796 0.2500 0.6106
```

## Properties
- energy (eV for the cell shown) = -152.534
- magnetic moment (μB per formula unit) = 0.00
- formation energy from the elements (eV per atom) = -0.887

---

No. 7
EuAl: optimized geometry, r²SCAN.

```
data_EuAl
_cell_length_a 5.7507
_cell_length_b 9.4778
_cell_length_c 9.9752
_cell_angle_alpha 90.00
_cell_angle_beta 90.00
_cell_angle_gamma 90.00
_symmetry_space_group_name_H-M 'P m m n'
_symmetry_Int_Tables_number 59
loop_
_symmetry_equiv_pos_as_xyz
'x,y,z'
'-x,-y,-z'
'-x+1/2,-y+1/2,z'
'x+1/2,y+1/2,-z'
'x+1/2,-y,-z'
'-x+1/2,y,z'
'-x,y+1/2,-z'
'x,-y+1/2,z'
loop_
_atom_site_label
_atom_site_type_symbol
_atom_site_fract_x
_atom_site_fract_y
_atom_site_fract_z
Eu1 Eu 0.2500 0.0513 0.1906
Eu2 Eu 0.2500 0.5700 0.5857
Eu3 Eu 0.2500 0.7500 0.9923
Al1 Al 0.0078 0.7500 0.3151
Al2 Al 0.2500 0.1080 0.8714
Al3 Al 0.2500 0.2500 0.4581
```

## Properties
- energy (eV for the cell shown) = -459.625
- magnetic moment (μB per formula unit) = 7.34
- formation energy from the elements (eV per atom) = -0.355

---

No. 8
SmSi2Os2: optimized geometry, r²SCAN.

```
data_SmSi2Os2
_cell_length_a 4.1913
_cell_length_b 4.1913
_cell_length_c 9.7403
_cell_angle_alpha 90.00
_cell_angle_beta 90.00
_cell_angle_gamma 90.00
_symmetry_space_group_name_H-M 'I 4/m m m'
_symmetry_Int_Tables_number 139
_symmetry_space_group_name_Hall '-I 4 2'
loop_
_atom_site_label
_atom_site_type_symbol
_atom_site_fract_x
_atom_site_fract_y
_atom_site_fract_z
Sm1 Sm 0.0000 0.0000 0.0000
Si1 Si 0.0000 0.0000 0.3677
Os1 Os 0.0000 0.5000 0.2500
```

## Properties
- energy (eV for the cell shown) = -314.532
- magnetic moment (μB per formula unit) = 0.00
- formation energy from the elements (eV per atom) = -0.803

---

No. 9
Nb4CrS8: optimized geometry, r²SCAN.

```
data_Nb4CrS8
_cell_length_a 6.7003
_cell_length_b 6.7003
_cell_length_c 12.1163
_cell_angle_alpha 90.00
_cell_angle_beta 90.00
_cell_angle_gamma 120.00
_symmetry_space_group_name_H-M 'P 63/m m c'
_symmetry_Int_Tables_number 194
_symmetry_space_group_name_Hall '-P 6c 2c'
loop_
_atom_site_label
_atom_site_type_symbol
_atom_site_fract_x
_atom_site_fract_y
_atom_site_fract_z
Nb1 Nb 0.0000 0.0000 0.2500
Nb2 Nb 0.0128 0.5064 0.2500
Cr1 Cr 0.0000 0.0000 0.0000
S1 S 0.1660 0.3321 0.6206
S2 S 0.3333 0.6667 0.1179
```

## Properties
- energy (eV for the cell shown) = -389.201
- magnetic moment (μB per formula unit) = 2.50
- formation energy from the elements (eV per atom) = -1.255

---

No. 10
LiNi2Sn: optimized geometry, r²SCAN.

```
data_LiNi2Sn
_cell_length_a 5.9412
_cell_length_b 5.9412
_cell_length_c 5.9412
_cell_angle_alpha 90.00
_cell_angle_beta 90.00
_cell_angle_gamma 90.00
_symmetry_space_group_name_H-M 'F m -3 m'
_symmetry_Int_Tables_number 225
_symmetry_space_group_name_Hall '-F 4 2 3'
loop_
_atom_site_label
_atom_site_type_symbol
_atom_site_fract_x
_atom_site_fract_y
_atom_site_fract_z
Li1 Li 0.0000 0.0000 0.0000
Ni1 Ni 0.2500 0.2500 0.2500
Sn1 Sn 0.0000 0.0000 0.5000
```

## Properties
- energy (eV for the cell shown) = -208.084
- magnetic moment (μB per formula unit) = 0.00
- formation energy from the elements (eV per atom) = -0.231

---

No. 11
La2Se2O: optimized geometry, r²SCAN.

```
data_La2Se2O
_cell_length_a 16.5287
_cell_length_b 4.1826
_cell_length_c 7.3770
_cell_angle_alpha 90.00
_cell_angle_beta 90.00
_cell_angle_gamma 90.00
_symmetry_space_group_name_H-M 'P n m a'
_symmetry_Int_Tables_number 62
_symmetry_space_group_name_Hall '-P 2ac 2n'
loop_
_atom_site_label
_atom_site_type_symbol
_atom_site_fract_x
_atom_site_fract_y
_atom_site_fract_z
La1 La 0.0368 0.2500 0.1994
La2 La 0.1672 0.2500 0.7582
Se1 Se 0.1034 0.7500 0.5092
Se2 Se 0.1742 0.7500 0.0467
O1 O 0.0327 0.2500 0.8707
```

## Properties
- energy (eV for the cell shown) = -434.263
- magnetic moment (μB per formula unit) = 0.00
- formation energy from the elements (eV per atom) = -2.896

---

No. 12
Y2MgGeO6: optimized geometry, r²SCAN.

```
data_Y2MgGeO6
_cell_length_a 7.5478
_cell_length_b 7.5478
_cell_length_c 7.5478
_cell_angle_alpha 90.00
_cell_angle_beta 90.00
_cell_angle_gamma 90.00
_symmetry_space_group_name_H-M 'F m -3 m'
_symmetry_Int_Tables_number 225
_symmetry_space_group_name_Hall '-F 4 2 3'
loop_
_atom_site_label
_atom_site_type_symbol
_atom_site_fract_x
_atom_site_fract_y
_atom_site_fract_z
Y1 Y 0.2500 0.2500 0.2500
Mg1 Mg 0.0000 0.0000 0.0000
Ge1 Ge 0.0000 0.0000 0.5000
O1 O 0.0000 0.0000 0.2565
```

## Properties
- energy (eV for the cell shown) = -495.535
- magnetic moment (μB per formula unit) = 0.00
- formation energy from the elements (eV per atom) = -2.938